1.
A plane-wave DFT calculation with PBE+U was carried out for an optimized crystal structure of SrNdNi4O12.

Unit cell a=5.401 b=5.401 c=7.656 alpha=90.00 beta=90.00 gamma=90.00
Space group P4/mmm (No. 123)
Symmetry-distinct sites (fractional):
Sr (0.000, 0.000, 0.000) [1 per cell]
Nd (0.500, 0.500, 0.500) [1 per cell]
Ni (0.000, 0.500, 0.249) [4 per cell]
O (0.000, 0.500, 0.000) [2 per cell]
O (0.000, 0.500, 0.500) [2 per cell]
O (0.260, 0.260, 0.262) [8 per cell]



2.
A plane-wave DFT calculation with PBE+U was carried out for an optimized crystal structure of BaEuCrSnO6.

Unit cell a=8.135 b=8.135 c=8.135 alpha=90.00 beta=90.00 gamma=90.00
Space group F-43m (No. 216)
Symmetry-distinct sites (fractional):
Ba (0.000, 0.000, 0.000) [4 per cell]
Eu (0.000, 0.000, 0.500) [4 per cell]
Cr (0.250, 0.250, 0.750) [4 per cell]
Sn (0.250, 0.250, 0.250) [4 per cell]
O (0.004, 0.250, 0.750) [24 per cell]



3.
A plane-wave DFT calculation with PBE+U was carried out for an optimized crystal structure of MgCrF6.

Unit cell a=5.2426 b=5.2426 c=14.3864 alpha=90.00 beta=90.00 gamma=120.00
Space group R3 (No. 146, hexagonal axes)
Symmetry-distinct sites (fractional):
Mg (0.0000, 0.0000, 0.0000) [3 per cell]
Cr (0.0000, 0.0000, 0.3360) [3 per cell]
F (0.0469, 0.3587, 0.9312) [9 per cell]
F (0.0485, 0.6928, 0.0730) [9 per cell]



4.
A plane-wave DFT calculation with PBE+U was carried out for an optimized crystal structure of GaNi2BO5.

Unit cell a=9.326 b=12.288 c=3.001 alpha=90.00 beta=90.00 gamma=90.00
Space group Pbam (No. 55)
Symmetry-distinct sites (fractional):
Ga (0.239, 0.116, 0.000) [4 per cell]
Ni (0.000, 0.000, 0.500) [2 per cell]
Ni (0.000, 0.281, 0.500) [4 per cell]
Ni (0.000, 0.500, 0.000) [2 per cell]
B (0.228, 0.861, 0.000) [4 per cell]
O (0.110, 0.143, 0.500) [4 per cell]
O (0.119, 0.579, 0.500) [4 per cell]
O (0.124, 0.360, 0.000) [4 per cell]
O (0.151, 0.959, 0.000) [4 per cell]
O (0.153, 0.763, 0.000) [4 per cell]



5.
A plane-wave DFT calculation with PBE+U was carried out for an optimized crystal structure of Li9Mn2Co5O16.

polymorph energy (0 for the lowest one): 2.581 eV/f.u.

Unit cell a=21.120 b=2.888 c=10.330 alpha=90.00 beta=112.90 gamma=90.00
Space group Cm (No. 8)
Symmetry-distinct sites (fractional):
Li (0.000, 0.000, 0.000) [2 per cell]
Li (0.000, 0.000, 0.486) [2 per cell]
Li (0.117, 0.500, 0.168) [2 per cell]
Li (0.231, 0.000, 0.341) [2 per cell]
Li (0.236, 0.500, 0.598) [2 per cell]
Li (0.238, 0.000, 0.857) [2 per cell]
Li (0.239, 0.500, 0.098) [2 per cell]
Li (0.493, 0.000, 0.220) [2 per cell]
Li (0.498, 0.000, 0.740) [2 per cell]
Mn (0.367, 0.000, 0.289) [2 per cell]
Mn (0.367, 0.500, 0.547) [2 per cell]
Co (0.113, 0.000, 0.398) [2 per cell]
Co (0.118, 0.500, 0.670) [2 per cell]
Co (0.121, 0.000, 0.940) [2 per cell]
Co (0.367, 0.000, 0.797) [2 per cell]
Co (0.367, 0.500, 0.038) [2 per cell]
O (0.056, 0.000, 0.216) [2 per cell]
O (0.057, 0.500, 0.941) [2 per cell]
O (0.064, 0.000, 0.696) [2 per cell]
O (0.065, 0.500, 0.472) [2 per cell]
O (0.169, 0.500, 0.868) [2 per cell]
O (0.172, 0.000, 0.643) [2 per cell]
O (0.177, 0.500, 0.395) [2 per cell]
O (0.178, 0.000, 0.123) [2 per cell]
O (0.307, 0.000, 0.068) [2 per cell]
O (0.310, 0.000, 0.567) [2 per cell]
O (0.312, 0.500, 0.823) [2 per cell]
O (0.316, 0.500, 0.339) [2 per cell]
O (0.418, 0.500, 0.750) [2 per cell]
O (0.423, 0.500, 0.264) [2 per cell]
O (0.425, 0.000, 0.527) [2 per cell]
O (0.427, 0.000, 0.011) [2 per cell]



6.
A plane-wave DFT calculation with PBE+U was carried out for an optimized crystal structure of Li3Mn4B4O12.

polymorph energy (0 for the lowest one): 0.101 eV/f.u.

Unit cell a=9.090 b=9.122 c=10.386 alpha=88.45 beta=88.66 gamma=60.35
Space group P1 (No. 1)
Symmetry-distinct sites (fractional):
Li (0.000, 0.000, 0.000) [1 per cell]
Li (0.022, 0.964, 0.467) [1 per cell]
Li (0.251, 0.201, 0.231) [1 per cell]
Li (0.330, 0.324, 0.970) [1 per cell]
Li (0.367, 0.302, 0.487) [1 per cell]
Li (0.579, 0.531, 0.739) [1 per cell]
Li (0.677, 0.651, 0.965) [1 per cell]
Li (0.712, 0.613, 0.496) [1 per cell]
Li (0.906, 0.870, 0.249) [1 per cell]
Mn (0.015, 0.663, 0.012) [1 per cell]
Mn (0.042, 0.287, 0.525) [1 per cell]
Mn (0.221, 0.885, 0.765) [1 per cell]
Mn (0.264, 0.532, 0.258) [1 per cell]
Mn (0.351, 0.979, 0.006) [1 per cell]
Mn (0.359, 0.649, 0.511) [1 per cell]
Mn (0.568, 0.188, 0.765) [1 per cell]
Mn (0.574, 0.828, 0.261) [1 per cell]
Mn (0.656, 0.321, 0.021) [1 per cell]
Mn (0.677, 0.961, 0.513) [1 per cell]
Mn (0.891, 0.235, 0.267) [1 per cell]
Mn (0.945, 0.522, 0.762) [1 per cell]
B (0.014, 0.326, 0.021) [1 per cell]
B (0.031, 0.639, 0.515) [1 per cell]
B (0.232, 0.882, 0.266) [1 per cell]
B (0.243, 0.545, 0.768) [1 per cell]
B (0.348, 0.652, 0.014) [1 per cell]
B (0.355, 0.972, 0.520) [1 per cell]
B (0.579, 0.852, 0.757) [1 per cell]
B (0.583, 0.177, 0.278) [1 per cell]
B (0.681, 0.976, 0.027) [1 per cell]
B (0.691, 0.304, 0.515) [1 per cell]
B (0.883, 0.222, 0.784) [1 per cell]
B (0.930, 0.521, 0.278) [1 per cell]
O (0.007, 0.607, 0.222) [1 per cell]
O (0.029, 0.345, 0.305) [1 per cell]
O (0.058, 0.968, 0.275) [1 per cell]
O (0.067, 0.642, 0.800) [1 per cell]
O (0.185, 0.240, 0.033) [1 per cell]
O (0.200, 0.545, 0.479) [1 per cell]
O (0.240, 0.822, 0.986) [1 per cell]
O (0.245, 0.910, 0.552) [1 per cell]
O (0.277, 0.549, 0.048) [1 per cell]
O (0.299, 0.140, 0.517) [1 per cell]
O (0.320, 0.964, 0.223) [1 per cell]
O (0.322, 0.374, 0.784) [1 per cell]
O (0.326, 0.630, 0.723) [1 per cell]
O (0.327, 0.714, 0.306) [1 per cell]
O (0.411, 0.273, 0.288) [1 per cell]
O (0.416, 0.939, 0.805) [1 per cell]
O (0.520, 0.580, 0.010) [1 per cell]
O (0.526, 0.856, 0.488) [1 per cell]
O (0.576, 0.139, 0.980) [1 per cell]
O (0.612, 0.210, 0.547) [1 per cell]
O (0.612, 0.871, 0.055) [1 per cell]
O (0.614, 0.472, 0.538) [1 per cell]
O (0.648, 0.947, 0.698) [1 per cell]
O (0.668, 0.006, 0.321) [1 per cell]
O (0.677, 0.245, 0.223) [1 per cell]
O (0.677, 0.680, 0.771) [1 per cell]
O (0.710, 0.307, 0.816) [1 per cell]
O (0.763, 0.595, 0.309) [1 per cell]
O (0.850, 0.915, 0.050) [1 per cell]
O (0.857, 0.218, 0.460) [1 per cell]
O (0.911, 0.265, 0.075) [1 per cell]
O (0.931, 0.485, 0.956) [1 per cell]
O (0.936, 0.809, 0.494) [1 per cell]
O (0.949, 0.312, 0.717) [1 per cell]
O (0.953, 0.549, 0.569) [1 per cell]
O (0.983, 0.058, 0.817) [1 per cell]



7.
A plane-wave DFT calculation with PBE+U was carried out for an optimized crystal structure of Li9Mn2Co5O16.

polymorph energy (0 for the lowest one): 2.088 eV/f.u.

Unit cell a=21.091 b=2.914 c=9.861 alpha=90.00 beta=107.78 gamma=90.00
Space group Cm (No. 8)
Symmetry-distinct sites (fractional):
Li (0.000, 0.000, 0.000) [2 per cell]
Li (0.000, 0.500, 0.478) [2 per cell]
Li (0.128, 0.000, 0.602) [2 per cell]
Li (0.130, 0.500, 0.129) [2 per cell]
Li (0.255, 0.500, 0.743) [2 per cell]
Li (0.261, 0.000, 0.246) [2 per cell]
Li (0.316, 0.500, 0.053) [2 per cell]
Li (0.372, 0.000, 0.879) [2 per cell]
Li (0.378, 0.500, 0.364) [2 per cell]
Mn (0.066, 0.500, 0.805) [2 per cell]
Mn (0.195, 0.000, 0.930) [2 per cell]
Co (0.064, 0.000, 0.298) [2 per cell]
Co (0.191, 0.500, 0.429) [2 per cell]
Co (0.317, 0.000, 0.552) [2 per cell]
Co (0.430, 0.000, 0.177) [2 per cell]
Co (0.435, 0.500, 0.679) [2 per cell]
O (0.037, 0.500, 0.158) [2 per cell]
O (0.039, 0.000, 0.669) [2 per cell]
O (0.096, 0.500, 0.449) [2 per cell]
O (0.098, 0.000, 0.942) [2 per cell]
O (0.157, 0.500, 0.790) [2 per cell]
O (0.161, 0.000, 0.283) [2 per cell]
O (0.217, 0.500, 0.064) [2 per cell]
O (0.221, 0.000, 0.574) [2 per cell]
O (0.274, 0.000, 0.895) [2 per cell]
O (0.286, 0.500, 0.409) [2 per cell]
O (0.350, 0.500, 0.710) [2 per cell]
O (0.351, 0.000, 0.211) [2 per cell]
O (0.412, 0.500, 0.035) [2 per cell]
O (0.414, 0.000, 0.535) [2 per cell]
O (0.472, 0.500, 0.320) [2 per cell]
O (0.480, 0.000, 0.827) [2 per cell]



8.
A plane-wave DFT calculation with PBE+U was carried out for an optimized crystal structure of LiMnSnO4.

polymorph energy (0 for the lowest one): 0.000 eV/f.u.

Unit cell a=5.913 b=6.230 c=9.152 alpha=90.00 beta=90.00 gamma=90.00
Space group Imma (No. 74)
Symmetry-distinct sites (fractional):
Li (0.000, 0.250, 0.131) [4 per cell]
Mn (0.250, 0.250, 0.750) [4 per cell]
Sn (0.000, 0.000, 0.500) [4 per cell]
O (0.000, 0.037, 0.734) [8 per cell]
O (0.234, 0.250, 0.501) [8 per cell]



Let's list E (MP2020) in order: -108.34, -324.95, -140.78, -256.23, -414.57, -555.71, -415.56, -199.29 eV per cell.